A plane-wave DFT calculation with GGA+U was carried out for a relaxed structure of Ba2LiY2Fe4O10.

Summary:
Polymorph energy (0 for the lowest one), eV per atom: 0.000
ρ, Mg/m³: 5.1
Electronic total energy, eV per atom: -6.969

Geometry as CIF:
```
data_Ba2LiY2Fe4O10
_cell_length_a 7.9241
_cell_length_b 3.7279
_cell_length_c 9.2452
_cell_angle_alpha 90.00
_cell_angle_beta 90.61
_cell_angle_gamma 90.00
_symmetry_space_group_name_H-M 'P 1'
_symmetry_Int_Tables_number 1
_symmetry_space_group_name_Hall 'P 1'
loop_
_atom_site_label
_atom_site_type_symbol
_atom_site_fract_x
_atom_site_fract_y
_atom_site_fract_z
Ba1 Ba 0.0000 0.0000 0.0000
Ba2 Ba 0.4924 0.0000 0.9139
Li1 Li 0.9610 0.0000 0.6661
Y1 Y 0.4645 0.0000 0.4971
Y2 Y 0.9469 0.0000 0.3821
Fe1 Fe 0.2012 0.5000 0.6835
Fe2 Fe 0.2562 0.5000 0.2497
Fe3 Fe 0.6783 0.5000 0.2163
Fe4 Fe 0.7396 0.5000 0.6706
O1 O 0.1813 0.0000 0.7534
O2 O 0.2311 0.0000 0.3411
O3 O 0.3000 0.5000 0.0517
O4 O 0.4591 0.5000 0.6618
O5 O 0.4867 0.5000 0.3510
O6 O 0.7321 0.0000 0.1977
O7 O 0.7365 0.0000 0.5582
O8 O 0.7757 0.5000 0.8806
O9 O 0.9917 0.5000 0.5574
O10 O 0.9967 0.5000 0.2372
```

***

A plane-wave DFT calculation with GGA+U was carried out for a relaxed structure of BaNaAlMo6H26O34.

Summary:
ρ, Mg/m³: 2.8
Electronic total energy, eV per atom: -5.830

Geometry as CIF:
```
data_BaNaAlMo6H26O34
_cell_length_a 13.3241
_cell_length_b 13.3241
_cell_length_c 11.3218
_cell_angle_alpha 95.12
_cell_angle_beta 95.12
_cell_angle_gamma 51.41
_symmetry_space_group_name_H-M 'P 1'
_symmetry_Int_Tables_number 1
_symmetry_space_group_name_Hall 'P 1'
loop_
_atom_site_label
_atom_site_type_symbol
_atom_site_fract_x
_atom_site_fract_y
_atom_site_fract_z
Ba1 Ba 0.1548 0.8452 0.7500
Ba2 Ba 0.8452 0.1548 0.2500
Na1 Na 0.4575 0.5425 0.2500
Na2 Na 0.5425 0.4575 0.7500
Al1 Al 0.0000 0.5000 0.0000
Al2 Al 0.5000 0.0000 0.5000
Mo1 Mo 0.0253 0.3320 0.7511
Mo2 Mo 0.1490 0.6346 0.0297
Mo3 Mo 0.1716 0.4662 0.7796
Mo4 Mo 0.3320 0.0253 0.2511
Mo5 Mo 0.3654 0.8510 0.4703
Mo6 Mo 0.4662 0.1716 0.2796
Mo7 Mo 0.5338 0.8284 0.7204
Mo8 Mo 0.6346 0.1490 0.5297
Mo9 Mo 0.6680 0.9747 0.7489
Mo10 Mo 0.8284 0.5338 0.2204
Mo11 Mo 0.8510 0.3654 0.9703
Mo12 Mo 0.9747 0.6680 0.2489
H1 H 0.0097 0.8959 0.4304
H2 H 0.0210 0.7537 0.5403
H3 H 0.0660 0.8397 0.3056
H4 H 0.0669 0.3096 0.1264
H5 H 0.0817 0.3916 0.4005
H6 H 0.0930 0.1081 0.4138
H7 H 0.1041 0.9903 0.0696
H8 H 0.1081 0.0930 0.9138
H9 H 0.1080 0.3705 0.5378
H10 H 0.1603 0.9340 0.1944
H11 H 0.1926 0.4281 0.1507
H12 H 0.2112 0.2784 0.9300
H13 H 0.2463 0.9790 0.9597
H14 H 0.2751 0.5435 0.3723
H15 H 0.2784 0.2112 0.4300
H16 H 0.2859 0.5677 0.6524
H17 H 0.3096 0.0669 0.6264
H18 H 0.3511 0.5683 0.5457
H19 H 0.3705 0.1080 0.0378
H20 H 0.3916 0.0817 0.9005
H21 H 0.4079 0.4156 0.4112
H22 H 0.4156 0.4079 0.9112
H23 H 0.4281 0.1926 0.6507
H24 H 0.4317 0.6489 0.9543
H25 H 0.4323 0.7141 0.8476
H26 H 0.4565 0.7249 0.1277
H27 H 0.5435 0.2751 0.8723
H28 H 0.5677 0.2859 0.1524
H29 H 0.5683 0.3511 0.0457
H30 H 0.5719 0.8074 0.3493
H31 H 0.5844 0.5921 0.0888
H32 H 0.5921 0.5844 0.5888
H33 H 0.6084 0.9183 0.0995
H34 H 0.6295 0.8920 0.9622
H35 H 0.6489 0.4317 0.4543
H36 H 0.6904 0.9331 0.3736
H37 H 0.7141 0.4323 0.3476
H38 H 0.7216 0.7888 0.5700
H39 H 0.7249 0.4565 0.6277
H40 H 0.7537 0.0210 0.0403
H41 H 0.7888 0.7216 0.0700
H42 H 0.8074 0.5719 0.8493
H43 H 0.8397 0.0660 0.8056
H44 H 0.8920 0.6295 0.4622
H45 H 0.8919 0.9070 0.0862
H46 H 0.8959 0.0097 0.9304
H47 H 0.9070 0.8919 0.5862
H48 H 0.9183 0.6084 0.5995
H49 H 0.9331 0.6904 0.8736
H50 H 0.9340 0.1603 0.6944
H51 H 0.9790 0.2463 0.4597
H52 H 0.9903 0.1041 0.5696
O1 O 0.0016 0.1624 0.4359
O2 O 0.0038 0.2524 0.8737
O3 O 0.0095 0.6099 0.9095
O4 O 0.0221 0.9186 0.3547
O5 O 0.0385 0.4613 0.6948
O6 O 0.0814 0.9779 0.1453
O7 O 0.0994 0.6333 0.3491
O8 O 0.1133 0.5059 0.1135
O9 O 0.1229 0.7485 0.9390
O10 O 0.1315 0.3248 0.4597
O11 O 0.1325 0.3645 0.8999
O12 O 0.1467 0.5876 0.7013
O13 O 0.1624 0.0016 0.9359
O14 O 0.1667 0.1934 0.6946
O15 O 0.1934 0.1667 0.1946
O16 O 0.2515 0.8771 0.5610
O17 O 0.2524 0.0038 0.3737
O18 O 0.2543 0.4805 0.9250
O19 O 0.2679 0.6041 0.1332
O20 O 0.3087 0.3222 0.7223
O21 O 0.3222 0.3087 0.2223
O22 O 0.3248 0.1315 0.9597
O23 O 0.3393 0.5912 0.6324
O24 O 0.3645 0.1325 0.3999
O25 O 0.3637 0.5077 0.3993
O26 O 0.3667 0.9006 0.1509
O27 O 0.3901 0.9905 0.5905
O28 O 0.3959 0.7321 0.3668
O29 O 0.4088 0.6607 0.8676
O30 O 0.4124 0.8533 0.7987
O31 O 0.4613 0.0385 0.1948
O32 O 0.4805 0.2543 0.4250
O33 O 0.4923 0.6363 0.1007
O34 O 0.4941 0.8867 0.3865
O35 O 0.5059 0.1133 0.6135
O36 O 0.5077 0.3637 0.8993
O37 O 0.5195 0.7457 0.5750
O38 O 0.5387 0.9615 0.8052
O39 O 0.5876 0.1467 0.2013
O40 O 0.5912 0.3393 0.1324
O41 O 0.6041 0.2679 0.6332
O42 O 0.6099 0.0095 0.4095
O43 O 0.6333 0.0994 0.8491
O44 O 0.6363 0.4923 0.6007
O45 O 0.6355 0.8675 0.6001
O46 O 0.6607 0.4088 0.3676
O47 O 0.6752 0.8685 0.0403
O48 O 0.6778 0.6913 0.7777
O49 O 0.6913 0.6778 0.2777
O50 O 0.7321 0.3959 0.8668
O51 O 0.7457 0.5195 0.0750
O52 O 0.7476 0.9962 0.6263
O53 O 0.7485 0.1229 0.4390
O54 O 0.8066 0.8333 0.8054
O55 O 0.8333 0.8066 0.3054
O56 O 0.8376 0.9984 0.0641
O57 O 0.8533 0.4124 0.2987
O58 O 0.8675 0.6355 0.1001
O59 O 0.8685 0.6752 0.5403
O60 O 0.8771 0.2515 0.0610
O61 O 0.8867 0.4941 0.8865
O62 O 0.9006 0.3667 0.6509
O63 O 0.9186 0.0221 0.8547
O64 O 0.9615 0.5387 0.3052
O65 O 0.9779 0.0814 0.6453
O66 O 0.9905 0.3901 0.0905
O67 O 0.9962 0.7476 0.1263
O68 O 0.9984 0.8376 0.5641
```

***

A plane-wave DFT calculation with GGA+U was carried out for a relaxed structure of Li4V3P8O29.

Summary:
Polymorph energy (0 for the lowest one), eV per atom: 0.012
ρ, Mg/m³: 2.5
Electronic total energy, eV per atom: -7.041

Geometry as CIF:
```
data_Li4V3P8O29
_cell_length_a 9.7517
_cell_length_b 9.7857
_cell_length_c 14.0799
_cell_angle_alpha 90.17
_cell_angle_beta 90.09
_cell_angle_gamma 119.86
_symmetry_space_group_name_H-M 'P 1'
_symmetry_Int_Tables_number 1
_symmetry_space_group_name_Hall 'P 1'
loop_
_atom_site_label
_atom_site_type_symbol
_atom_site_fract_x
_atom_site_fract_y
_atom_site_fract_z
Li1 Li 0.0000 0.0000 0.0000
Li2 Li 0.0144 0.5587 0.4945
Li3 Li 0.0640 0.3384 0.0582
Li4 Li 0.1984 0.6680 0.1165
Li5 Li 0.3359 0.2396 0.1169
Li6 Li 0.4146 0.4202 0.4977
Li7 Li 0.7846 0.2421 0.6135
Li8 Li 0.8742 0.0092 0.4948
V1 V 0.1018 0.7657 0.3088
V2 V 0.1034 0.8997 0.7995
V3 V 0.5349 0.7641 0.8074
V4 V 0.5366 0.3341 0.3038
V5 V 0.6637 0.8998 0.2998
V6 V 0.6684 0.3372 0.8142
P1 P 0.0100 0.5588 0.7143
P2 P 0.0147 0.0172 0.2142
P3 P 0.1893 0.1048 0.3962
P4 P 0.1888 0.6482 0.8969
P5 P 0.3232 0.2428 0.8975
P6 P 0.3346 0.6489 0.4002
P7 P 0.4077 0.5579 0.2130
P8 P 0.4189 0.4209 0.7154
P9 P 0.4309 0.9971 0.1833
P10 P 0.4424 0.0031 0.6875
P11 P 0.7664 0.6683 0.4256
P12 P 0.7720 0.6728 0.9258
P13 P 0.7822 0.2442 0.3963
P14 P 0.7932 0.1085 0.8965
P15 P 0.8690 0.0143 0.7123
P16 P 0.8790 0.4186 0.2139
O1 O 0.0012 0.7120 0.7343
O2 O 0.0120 0.8615 0.2267
O3 O 0.0142 0.9897 0.7199
O4 O 0.0180 0.5925 0.2217
O5 O 0.0895 0.5687 0.6231
O6 O 0.0930 0.1035 0.1238
O7 O 0.0936 0.0940 0.4801
O8 O 0.0989 0.5388 0.8055
O9 O 0.1112 0.1317 0.3008
O10 O 0.1152 0.5668 0.9875
O11 O 0.1815 0.0715 0.8910
O12 O 0.1876 0.6707 0.3988
O13 O 0.1877 0.8042 0.8807
O14 O 0.1980 0.9523 0.3775
O15 O 0.2873 0.9955 0.7319
O16 O 0.2880 0.8433 0.2233
O17 O 0.3050 0.3288 0.8051
O18 O 0.3092 0.5387 0.3082
O19 O 0.3097 0.5510 0.1298
O20 O 0.3178 0.3169 0.9888
O21 O 0.3487 0.5704 0.4861
O22 O 0.3505 0.3413 0.6242
O23 O 0.3583 0.2494 0.3957
O24 O 0.3605 0.6796 0.8875
O25 O 0.4231 0.1435 0.2222
O26 O 0.4369 0.9939 0.0777
O27 O 0.4415 0.0006 0.5825
O28 O 0.4408 0.4187 0.2144
O29 O 0.4445 0.5900 0.7248
O30 O 0.4458 0.8599 0.7353
O31 O 0.4816 0.2413 0.8835
O32 O 0.4850 0.8093 0.3772
O33 O 0.5675 0.7162 0.2255
O34 O 0.5782 0.4271 0.7390
O35 O 0.5837 0.0031 0.2312
O36 O 0.5886 0.1547 0.7293
O37 O 0.6154 0.5190 0.3842
O38 O 0.6214 0.2325 0.3765
O39 O 0.6221 0.6668 0.8798
O40 O 0.6389 0.9495 0.8875
O41 O 0.7194 0.4138 0.2233
O42 O 0.7188 0.8558 0.7320
O43 O 0.7563 0.2457 0.8920
O44 O 0.7635 0.0770 0.3938
O45 O 0.7658 0.6763 0.5315
O46 O 0.7691 0.8177 0.3800
O47 O 0.7722 0.6750 0.0310
O48 O 0.7732 0.5218 0.8830
O49 O 0.8413 0.4127 0.7198
O50 O 0.8444 0.9913 0.2229
O51 O 0.8563 0.3293 0.4877
O52 O 0.8593 0.0880 0.6215
O53 O 0.8904 0.1313 0.7983
O54 O 0.8985 0.3388 0.3108
O55 O 0.8994 0.1255 0.9775
O56 O 0.9021 0.3402 0.1306
O57 O 0.9154 0.6610 0.3886
O58 O 0.9197 0.8236 0.8846
```

***

A plane-wave DFT calculation with GGA+U was carried out for a relaxed structure of FeSe2O6.

Summary:
Polymorph energy (0 for the lowest one), eV per atom: 0.000
ρ, Mg/m³: 3.8
Electronic total energy, eV per atom: -5.530

Geometry as CIF:
```
data_FeSe2O6
_cell_length_a 6.6339
_cell_length_b 10.0412
_cell_length_c 8.1789
_cell_angle_alpha 90.00
_cell_angle_beta 90.59
_cell_angle_gamma 90.00
_symmetry_space_group_name_H-M 'P 1'
_symmetry_Int_Tables_number 1
_symmetry_space_group_name_Hall 'P 1'
loop_
_atom_site_label
_atom_site_type_symbol
_atom_site_fract_x
_atom_site_fract_y
_atom_site_fract_z
Fe1 Fe 0.0520 0.0063 0.1979
Fe2 Fe 0.0520 0.4937 0.6979
Fe3 Fe 0.9480 0.5063 0.3021
Fe4 Fe 0.9480 0.9937 0.8021
Se1 Se 0.0921 0.7109 0.0215
Se2 Se 0.0921 0.7891 0.5215
Se3 Se 0.4405 0.0835 0.7797
Se4 Se 0.4405 0.4165 0.2797
Se5 Se 0.5595 0.5835 0.7203
Se6 Se 0.5595 0.9165 0.2203
Se7 Se 0.9079 0.2109 0.4785
Se8 Se 0.9079 0.2891 0.9785
O1 O 0.0213 0.1283 0.9967
O2 O 0.0213 0.3717 0.4967
O3 O 0.0624 0.6631 0.8217
O4 O 0.0624 0.8369 0.3217
O5 O 0.0988 0.1245 0.3856
O6 O 0.0988 0.3755 0.8856
O7 O 0.2537 0.5341 0.2699
O8 O 0.2537 0.9659 0.7699
O9 O 0.3528 0.0029 0.1497
O10 O 0.3528 0.4971 0.6497
O11 O 0.4789 0.1491 0.5958
O12 O 0.4789 0.3509 0.0958
O13 O 0.5211 0.6491 0.9042
O14 O 0.5211 0.8509 0.4042
O15 O 0.6472 0.5029 0.3503
O16 O 0.6472 0.9971 0.8503
O17 O 0.7463 0.0341 0.2301
O18 O 0.7463 0.4659 0.7301
O19 O 0.9012 0.6245 0.1144
O20 O 0.9012 0.8755 0.6144
O21 O 0.9376 0.1631 0.6783
O22 O 0.9376 0.3369 0.1783
O23 O 0.9787 0.6283 0.5033
O24 O 0.9787 0.8717 0.0033
```

***

no.,E_form (kcal/mol of atoms)
1,-56.162
2,-38.885
3,-59.304
4,-28.182